[1]
The following is a DFT calculation (PBE) of crystalline Ba6Li2Si4ClO15 at its relaxed geometry.

Structure (extended XYZ):
```
56
Lattice="5.775 0.000 0.000 -2.888 5.002 0.000 0.000 0.000 29.757" Properties=species:S:1:pos:R:3 pbc="T T T"
Ba 0.000 0.000 0.000
Ba 0.000 0.000 4.384
Ba 0.000 0.000 10.494
Ba 0.000 0.000 14.878
Ba 0.000 0.000 19.263
Ba 0.000 0.000 25.372
Ba 0.000 3.334 2.515
Ba 0.000 3.334 12.364
Ba 0.000 3.334 22.317
Ba 2.888 1.667 7.439
Ba 2.888 1.667 17.393
Ba 2.888 1.667 27.242
Li 0.000 3.334 19.219
Li 0.000 3.334 25.416
Li 2.888 1.667 4.341
Li 2.888 1.667 10.538
Si 0.000 3.334 5.762
Si 0.000 3.334 9.116
Si 0.000 3.334 16.546
Si 0.000 3.334 28.089
Si 2.888 1.667 1.667
Si 2.888 1.667 13.211
Si 2.888 1.667 20.640
Si 2.888 1.667 23.995
Cl 0.000 0.000 7.439
Cl 0.000 0.000 22.317
O -1.335 2.564 5.183
O -1.335 2.564 9.695
O 0.000 1.792 17.143
O 0.000 1.792 27.492
O -1.336 4.106 17.143
O -1.336 4.106 27.492
O 0.000 3.334 7.439
O 0.000 3.334 14.911
O 0.000 3.334 29.724
O 1.552 0.896 2.264
O 1.552 0.896 12.614
O 1.335 2.564 5.183
O 1.335 2.564 9.695
O 0.000 4.876 5.183
O 0.000 4.876 9.695
O 2.888 0.126 20.061
O 2.888 0.126 24.574
O 1.553 2.438 20.061
O 1.553 2.438 24.574
O 1.336 4.106 17.143
O 1.336 4.106 27.492
O 2.888 1.667 0.033
O 2.888 1.667 14.846
O 2.888 1.667 22.317
O 4.224 0.896 2.264
O 4.224 0.896 12.614
O 2.888 3.210 2.264
O 2.888 3.210 12.614
O 4.222 2.438 20.061
O 4.222 2.438 24.574
```

Values from the calculation:
As for the formation energy: -3.14 eV per atom.


[2]
The following is a DFT calculation (PBE) of crystalline Ba4WN4Cl2 at its relaxed geometry.

Structure (extended XYZ):
```
22
Lattice="8.568 0.000 0.000 0.000 6.240 0.000 -1.675 0.000 10.782" Properties=species:S:1:pos:R:3 pbc="T T T"
Ba -0.594 1.560 4.016
Ba 1.439 4.680 0.979
Ba 1.271 1.560 7.614
Ba 3.179 1.560 4.071
Ba 3.715 4.680 6.710
Ba 5.623 4.680 3.167
Ba 5.455 1.560 9.803
Ba 7.487 4.680 6.765
W 1.293 4.680 4.308
W 5.600 1.560 6.474
N -0.173 4.680 3.130
N 1.263 3.140 5.411
N 1.263 6.220 5.411
N 2.838 4.680 3.224
N 4.056 1.560 7.558
N 5.631 0.020 5.371
N 5.631 3.100 5.371
N 7.066 1.560 7.652
Cl 1.198 1.560 1.060
Cl 1.399 4.680 8.999
Cl 5.495 1.560 1.783
Cl 5.696 4.680 9.721
```

Values from the calculation:
As for the formation energy: -1.49 eV per atom.


[3]
The following is a DFT calculation (PBE) of crystalline BaCl2O2 at its relaxed geometry.

Structure (extended XYZ):
```
20
Lattice="5.703 0.000 0.000 0.000 10.412 0.000 -5.158 0.000 8.224" Properties=species:S:1:pos:R:3 pbc="T T T"
Ba -0.812 2.164 3.372
Ba -3.391 3.041 7.485
Ba 3.936 7.370 0.740
Ba 1.358 8.247 4.852
Cl -3.986 6.213 7.483
Cl -1.408 9.404 3.371
Cl -1.235 6.057 4.802
Cl 1.344 9.560 0.690
Cl -0.798 0.851 7.535
Cl 1.780 4.355 3.423
Cl 1.953 1.007 4.853
Cl 4.532 4.199 0.741
O 0.362 1.350 0.972
O -2.217 3.856 5.084
O -2.205 7.588 6.400
O 0.373 8.030 2.288
O 0.172 2.382 5.936
O 2.751 2.824 1.824
O 2.762 6.556 3.141
O 0.184 9.062 7.253
```

Values from the calculation:
Its energy above the most stable polymorph in this dataset is 0.0 meV/atom. As for the formation energy: -0.92 eV per atom.


[4]
The following is a DFT calculation (PBE) of crystalline BaCl2O2 at its relaxed geometry.

Structure (extended XYZ):
```
20
Lattice="6.413 0.000 0.000 0.000 9.797 0.000 -6.245 0.000 7.325" Properties=species:S:1:pos:R:3 pbc="T T T"
Ba 1.161 2.254 0.258
Ba -1.962 2.644 3.921
Ba 2.130 7.152 3.405
Ba -0.993 7.543 7.067
Cl -4.488 5.704 6.562
Cl -1.366 8.991 2.900
Cl -1.391 5.818 4.244
Cl 1.732 8.877 0.581
Cl -1.563 0.920 6.744
Cl 1.559 3.978 3.081
Cl 1.534 0.806 4.426
Cl 4.656 4.093 0.763
O -0.333 6.761 2.289
O -3.455 7.934 5.952
O -0.074 1.222 2.566
O -3.196 3.676 6.228
O 3.365 6.120 1.097
O 0.242 8.575 4.760
O 3.623 1.863 1.373
O 0.501 3.035 5.036
```

Values from the calculation:
Its energy above the most stable polymorph in this dataset is 24.5 meV/atom. As for the formation energy: -0.89 eV per atom.